1.
Density functional theory data (PBE) for a geometry-optimized Na14Zr4Si11Ge4SO48 structure.

```
data_Na14Zr4Si11Ge4SO48
_chemical_formula_sum 'Na42 Zr12 Si33 Ge12 S3 O144'
_symmetry_space_group_name_H-M 'P 1'
_symmetry_Int_Tables_number 1
_cell_length_a 9.0298
_cell_length_b 15.6283
_cell_length_c 22.2156
_cell_angle_alpha 89.88
_cell_angle_beta 89.70
_cell_angle_gamma 89.95
loop_
_symmetry_equiv_pos_as_xyz
'x,y,z'
loop_
_atom_site_label
_atom_site_type_symbol
_atom_site_fract_x
_atom_site_fract_y
_atom_site_fract_z
Na1 Na 0.0000 0.0000 0.0000
Na2 Na 0.0002 0.3351 0.6674
Na3 Na 0.0013 0.6355 0.9973
Na4 Na 0.0481 0.6481 0.6671
Na5 Na 0.0545 0.9847 0.3288
Na6 Na 0.1699 0.4788 0.5800
Na7 Na 0.1760 0.1556 0.9188
Na8 Na 0.1788 0.8182 0.2487
Na9 Na 0.1800 0.8172 0.7491
Na10 Na 0.1917 0.1525 0.4194
Na11 Na 0.1922 0.4781 0.0785
Na12 Na 0.3041 0.9857 0.8306
Na13 Na 0.3156 0.6497 0.1657
Na14 Na 0.3582 0.3296 0.1658
Na15 Na 0.3612 0.2954 0.8310
Na16 Na 0.3617 0.6348 0.4998
Na17 Na 0.3623 0.9679 0.1671
Na18 Na 0.3667 0.6679 0.8329
Na19 Na 0.4917 0.1656 0.3313
Na20 Na 0.4948 0.4644 0.6686
Na21 Na 0.4969 0.8016 0.3340
Na22 Na 0.4978 0.1352 0.0001
Na23 Na 0.4983 0.8369 0.6672
Na24 Na 0.5412 0.8199 0.9959
Na25 Na 0.5442 0.4803 0.3325
Na26 Na 0.5504 0.1477 0.6675
Na27 Na 0.6687 0.9791 0.5795
Na28 Na 0.6721 0.6486 0.9159
Na29 Na 0.6808 0.3161 0.2501
Na30 Na 0.6811 0.3174 0.7486
Na31 Na 0.6810 0.9844 0.0823
Na32 Na 0.6918 0.6535 0.4220
Na33 Na 0.8093 0.1470 0.1680
Na34 Na 0.8148 0.4813 0.8296
Na35 Na 0.8622 0.1347 0.4994
Na36 Na 0.8655 0.8386 0.1688
Na37 Na 0.8665 0.4636 0.1684
Na38 Na 0.8678 0.7989 0.8331
Na39 Na 0.8705 0.1678 0.8312
Na40 Na 0.9935 0.6673 0.3342
Na41 Na 0.9969 0.9661 0.6694
Na42 Na 0.9985 0.2950 0.3312
Zr1 Zr 0.1786 0.4792 0.2301
Zr2 Zr 0.1800 0.8181 0.0990
Zr3 Zr 0.1807 0.8123 0.3987
Zr4 Zr 0.1833 0.8185 0.8952
Zr5 Zr 0.1901 0.8137 0.6002
Zr6 Zr 0.6699 0.3089 0.1018
Zr7 Zr 0.6721 0.6542 0.0653
Zr8 Zr 0.6761 0.3089 0.8950
Zr9 Zr 0.6792 0.6507 0.2721
Zr10 Zr 0.6831 0.3059 0.3993
Zr11 Zr 0.6844 0.6503 0.7703
Zr12 Zr 0.6897 0.3101 0.6012
Si1 Si 0.0236 0.6603 0.4998
Si2 Si 0.0344 0.0109 0.1679
Si3 Si 0.0402 0.2860 0.1659
Si4 Si 0.0452 0.3409 0.8305
Si5 Si 0.0447 0.6193 0.8333
Si6 Si 0.3194 0.2946 0.6705
Si7 Si 0.3199 0.3353 0.3348
Si8 Si 0.3217 0.6231 0.3373
Si9 Si 0.3251 0.0120 0.6682
Si10 Si 0.3247 0.6603 0.9961
Si11 Si 0.3346 0.9698 0.9987
Si12 Si 0.3691 0.3178 0.9994
Si13 Si 0.3928 0.9869 0.3288
Si14 Si 0.3939 0.6449 0.6647
Si15 Si 0.4585 0.1447 0.1685
Si16 Si 0.4624 0.4825 0.8304
Si17 Si 0.4940 0.8173 0.4992
Si18 Si 0.5214 0.1588 0.5004
Si19 Si 0.5333 0.1208 0.8297
Si20 Si 0.5344 0.5003 0.1679
Si21 Si 0.5349 0.8041 0.1696
Si22 Si 0.5442 0.8465 0.8324
Si23 Si 0.8186 0.8477 0.3333
Si24 Si 0.8230 0.8009 0.6670
Si25 Si 0.8259 0.1193 0.3317
Si26 Si 0.8294 0.5070 0.6647
Si27 Si 0.8369 0.1639 0.9984
Si28 Si 0.8782 0.8202 0.9959
Si29 Si 0.8866 0.4819 0.3351
Si30 Si 0.9035 0.1453 0.6676
Si31 Si 0.9613 0.9871 0.8295
Si32 Si 0.9761 0.6496 0.1648
Si33 Si 0.9944 0.3156 0.4998
Ge1 Ge 0.1607 0.4801 0.4331
Ge2 Ge 0.1781 0.1491 0.2699
Ge3 Ge 0.1801 0.1499 0.0631
Ge4 Ge 0.1808 0.1497 0.7699
Ge5 Ge 0.1813 0.4814 0.7286
Ge6 Ge 0.1920 0.1604 0.5691
Ge7 Ge 0.1982 0.4793 0.9312
Ge8 Ge 0.6566 0.9846 0.4310
Ge9 Ge 0.6798 0.9844 0.2296
Ge10 Ge 0.6810 0.9843 0.7282
Ge11 Ge 0.6819 0.9865 0.9342
Ge12 Ge 0.6923 0.6607 0.5682
S1 S 0.0299 0.9676 0.4997
S2 S 0.5313 0.4652 0.4996
S3 S 0.8304 0.4625 0.9986
O1 O 0.9997 0.8366 0.3385
O2 O 0.0014 0.8125 0.6580
O3 O 0.0035 0.1677 0.7273
O4 O 0.0064 0.1295 0.6070
O5 O 0.0079 0.1318 0.3269
O6 O 0.0115 0.4972 0.6698
O7 O 0.0148 0.1523 0.0061
O8 O 0.0541 0.7217 0.4404
O9 O 0.0612 0.0690 0.1072
O10 O 0.0618 0.2303 0.2288
O11 O 0.0626 0.4013 0.7698
O12 O 0.0651 0.9137 0.5536
O13 O 0.0681 0.9017 0.8333
O14 O 0.0692 0.0733 0.8259
O15 O 0.0690 0.5584 0.8934
O16 O 0.0788 0.5640 0.1672
O17 O 0.0788 0.7355 0.1628
O18 O 0.0824 0.2235 0.5090
O19 O 0.0932 0.9240 0.4452
O20 O 0.0935 0.4027 0.4919
O21 O 0.0996 0.0520 0.5027
O22 O 0.1068 0.9148 0.1623
O23 O 0.1083 0.7080 0.5565
O24 O 0.1113 0.3823 0.1687
O25 O 0.1161 0.0512 0.2277
O26 O 0.1171 0.5694 0.4923
O27 O 0.1172 0.7159 0.8351
O28 O 0.1182 0.2432 0.8261
O29 O 0.1181 0.5783 0.7714
O30 O 0.1234 0.2424 0.1086
O31 O 0.1272 0.3849 0.8883
O32 O 0.2345 0.2557 0.6117
O33 O 0.2353 0.5691 0.9902
O34 O 0.2356 0.3858 0.3896
O35 O 0.2409 0.2399 0.3293
O36 O 0.2439 0.0507 0.7293
O37 O 0.2436 0.3909 0.6744
O38 O 0.2479 0.7199 0.3392
O39 O 0.2500 0.5855 0.2757
O40 O 0.2498 0.7065 0.0559
O41 O 0.2513 0.9160 0.6612
O42 O 0.2514 0.9261 0.9410
O43 O 0.2533 0.0623 0.0074
O44 O 0.2685 0.4043 0.9906
O45 O 0.2817 0.2264 0.0072
O46 O 0.2857 0.0724 0.3241
O47 O 0.2856 0.7301 0.6605
O48 O 0.2879 0.5589 0.6700
O49 O 0.2877 0.9019 0.3373
O50 O 0.2907 0.5598 0.3952
O51 O 0.2978 0.0766 0.6112
O52 O 0.3001 0.2315 0.7293
O53 O 0.2997 0.7255 0.9390
O54 O 0.3074 0.3914 0.2729
O55 O 0.3133 0.9056 0.0565
O56 O 0.3420 0.1538 0.5096
O57 O 0.3510 0.1332 0.8265
O58 O 0.3557 0.4906 0.1683
O59 O 0.3560 0.8117 0.1633
O60 O 0.3570 0.1677 0.2279
O61 O 0.3613 0.1277 0.1076
O62 O 0.3624 0.4643 0.7702
O63 O 0.3622 0.5033 0.8896
O64 O 0.3633 0.8351 0.8343
O65 O 0.3687 0.4731 0.4970
O66 O 0.3810 0.7980 0.4422
O67 O 0.3878 0.8326 0.5588
O68 O 0.4763 0.3331 0.0584
O69 O 0.4822 0.2997 0.9417
O70 O 0.4896 0.6662 0.7249
O71 O 0.4931 0.0098 0.3878
O72 O 0.4982 0.9648 0.2705
O73 O 0.4996 0.3054 0.6622
O74 O 0.5001 0.3253 0.3415
O75 O 0.5011 0.6348 0.3352
O76 O 0.5040 0.6300 0.6060
O77 O 0.5043 0.6564 0.0011
O78 O 0.5081 0.0003 0.6725
O79 O 0.5151 0.9769 0.9914
O80 O 0.5521 0.2191 0.4410
O81 O 0.5569 0.7409 0.2271
O82 O 0.5605 0.0648 0.8911
O83 O 0.5655 0.4119 0.5540
O84 O 0.5649 0.5641 0.1115
O85 O 0.5662 0.2301 0.1636
O86 O 0.5683 0.5674 0.8293
O87 O 0.5689 0.9036 0.7710
O88 O 0.5708 0.0615 0.1736
O89 O 0.5708 0.3983 0.8357
O90 O 0.5816 0.7242 0.5082
O91 O 0.5914 0.9044 0.4898
O92 O 0.5936 0.4212 0.4453
O93 O 0.5995 0.5503 0.5025
O94 O 0.6054 0.5430 0.2281
O95 O 0.6081 0.2046 0.5574
O96 O 0.6090 0.2172 0.8341
O97 O 0.6105 0.7612 0.1093
O98 O 0.6164 0.0817 0.7701
O99 O 0.6162 0.4074 0.1631
O100 O 0.6162 0.7498 0.8314
O101 O 0.6172 0.8888 0.8928
O102 O 0.6178 0.0691 0.4910
O103 O 0.6192 0.8971 0.1730
O104 O 0.7356 0.7559 0.6110
O105 O 0.7356 0.8929 0.3902
O106 O 0.7413 0.8951 0.6716
O107 O 0.7425 0.0813 0.2717
O108 O 0.7478 0.7509 0.3309
O109 O 0.7511 0.0712 0.9910
O110 O 0.7505 0.2062 0.0564
O111 O 0.7525 0.4121 0.6582
O112 O 0.7525 0.2163 0.3361
O113 O 0.7534 0.5426 0.7268
O114 O 0.7644 0.5495 0.0012
O115 O 0.7678 0.4210 0.9443
O116 O 0.7772 0.9068 0.9907
O117 O 0.7778 0.7334 0.9999
O118 O 0.7795 0.3983 0.3414
O119 O 0.7864 0.5687 0.3335
O120 O 0.7928 0.0612 0.6720
O121 O 0.7940 0.2304 0.6630
O122 O 0.7945 0.4123 0.0534
O123 O 0.7961 0.9030 0.2707
O124 O 0.7972 0.0616 0.3927
O125 O 0.7967 0.5754 0.6103
O126 O 0.8045 0.2238 0.9393
O127 O 0.8102 0.7410 0.7270
O128 O 0.8433 0.6550 0.5091
O129 O 0.8513 0.0006 0.1730
O130 O 0.8587 0.9670 0.7704
O131 O 0.8599 0.2986 0.1600
O132 O 0.8608 0.0040 0.8904
O133 O 0.8637 0.3312 0.8368
O134 O 0.8637 0.6310 0.8321
O135 O 0.8684 0.9749 0.4970
O136 O 0.8727 0.6641 0.2246
O137 O 0.8742 0.6353 0.1053
O138 O 0.8839 0.2956 0.4423
O139 O 0.8847 0.3305 0.5584
O140 O 0.9784 0.4631 0.2729
O141 O 0.9809 0.8366 0.0557
O142 O 0.9863 0.8016 0.9386
O143 O 0.9934 0.4708 0.9955
O144 O 0.9978 0.5025 0.3903
```

Summary:
* E: -568.98 eV per formula unit
* theoretical density: 3.3 Mg/m³
* energy relative to the elements: -2798 meV/atom
* volume: 3135.0 Å³ per cell

=====

2.
Density functional theory data (PBE) for a geometry-optimized Na2Zr4Si5Ge4S7O48 structure.

```
data_Na2Zr4Si5Ge4S7O48
_chemical_formula_sum 'Na6 Zr12 Si15 Ge12 S21 O144'
_symmetry_space_group_name_H-M 'P 1'
_symmetry_Int_Tables_number 1
_cell_length_a 8.6787
_cell_length_b 15.1686
_cell_length_c 22.8442
_cell_angle_alpha 88.42
_cell_angle_beta 89.91
_cell_angle_gamma 89.79
loop_
_symmetry_equiv_pos_as_xyz
'x,y,z'
loop_
_atom_site_label
_atom_site_type_symbol
_atom_site_fract_x
_atom_site_fract_y
_atom_site_fract_z
Na1 Na 0.0000 0.0000 0.0000
Na2 Na 0.0006 0.3489 0.6694
Na3 Na 0.4877 0.8495 0.1649
Na4 Na 0.4902 0.5068 0.5040
Na5 Na 0.5037 0.5095 0.0003
Na6 Na 0.9835 0.0064 0.5017
Zr1 Zr 0.0101 0.0063 0.1438
Zr2 Zr 0.0104 0.9968 0.6510
Zr3 Zr 0.4738 0.5084 0.6459
Zr4 Zr 0.4758 0.4966 0.1486
Zr5 Zr 0.4973 0.8476 0.0224
Zr6 Zr 0.4987 0.8393 0.3174
Zr7 Zr 0.5046 0.4993 0.8598
Zr8 Zr 0.5097 0.1831 0.4772
Zr9 Zr 0.9750 0.3453 0.5273
Zr10 Zr 0.9777 0.6882 0.9739
Zr11 Zr 0.9791 0.9980 0.3592
Zr12 Zr 0.9875 0.3386 0.8186
Si1 Si 0.1249 0.5414 0.5836
Si2 Si 0.1395 0.8570 0.2529
Si3 Si 0.1503 0.8171 0.5829
Si4 Si 0.1893 0.5083 0.2564
Si5 Si 0.2066 0.8499 0.9168
Si6 Si 0.2990 0.0074 0.7566
Si7 Si 0.3346 0.3155 0.0818
Si8 Si 0.3440 0.3584 0.7534
Si9 Si 0.3606 0.0389 0.0832
Si10 Si 0.6192 0.7027 0.9146
Si11 Si 0.6285 0.3133 0.5931
Si12 Si 0.7051 0.3319 0.9288
Si13 Si 0.7794 0.8318 0.4285
Si14 Si 0.8476 0.8127 0.0922
Si15 Si 0.8656 0.2026 0.4153
Ge1 Ge 0.0017 0.6885 0.4876
Ge2 Ge 0.0036 0.6815 0.1966
Ge3 Ge 0.0087 0.0018 0.8512
Ge4 Ge 0.0190 0.6766 0.6847
Ge5 Ge 0.4679 0.1743 0.1810
Ge6 Ge 0.4787 0.8436 0.8196
Ge7 Ge 0.4819 0.1854 0.9850
Ge8 Ge 0.4830 0.5096 0.3493
Ge9 Ge 0.4897 0.1815 0.7009
Ge10 Ge 0.5024 0.8445 0.5296
Ge11 Ge 0.9844 0.3458 0.0286
Ge12 Ge 0.9906 0.3419 0.3128
S1 S 0.1340 0.4823 0.9238
S2 S 0.1383 0.1929 0.9235
S3 S 0.1451 0.1605 0.2532
S4 S 0.2093 0.1755 0.5880
S5 S 0.2758 0.6759 0.0884
S6 S 0.2813 0.3495 0.4151
S7 S 0.3414 0.6602 0.7528
S8 S 0.3467 0.6908 0.4225
S9 S 0.3502 0.9836 0.4236
S10 S 0.6312 0.0269 0.5876
S11 S 0.6389 0.3595 0.2562
S12 S 0.6423 0.6478 0.2529
S13 S 0.6459 0.9939 0.9148
S14 S 0.6920 0.0203 0.2491
S15 S 0.7127 0.6813 0.5864
S16 S 0.7716 0.1820 0.0865
S17 S 0.7929 0.5198 0.7490
S18 S 0.8371 0.4911 0.4138
S19 S 0.8446 0.1475 0.7535
S20 S 0.8450 0.8572 0.7553
S21 S 0.8550 0.5270 0.0873
O1 O 0.0521 0.5796 0.6444
O2 O 0.0588 0.4419 0.5793
O3 O 0.0611 0.7619 0.2459
O4 O 0.0618 0.5685 0.9297
O5 O 0.0631 0.1064 0.9149
O6 O 0.0640 0.7796 0.5261
O7 O 0.0639 0.9041 0.3097
O8 O 0.0675 0.2332 0.9746
O9 O 0.0705 0.4422 0.8705
O10 O 0.0728 0.1241 0.2010
O11 O 0.0737 0.9150 0.5886
O12 O 0.0787 0.5905 0.2386
O13 O 0.0806 0.2508 0.2612
O14 O 0.0838 0.4217 0.2704
O15 O 0.0846 0.5965 0.5231
O16 O 0.0865 0.9352 0.9086
O17 O 0.1000 0.0998 0.5934
O18 O 0.1060 0.7608 0.9226
O19 O 0.1114 0.4248 0.9767
O20 O 0.1161 0.2488 0.8689
O21 O 0.1160 0.2580 0.5829
O22 O 0.1168 0.9233 0.1966
O23 O 0.1197 0.7602 0.6439
O24 O 0.1215 0.1035 0.3056
O25 O 0.1495 0.3242 0.0715
O26 O 0.1586 0.3463 0.7584
O27 O 0.1660 0.6660 0.7457
O28 O 0.1720 0.0394 0.0856
O29 O 0.1770 0.6823 0.4280
O30 O 0.1776 0.0315 0.8102
O31 O 0.1816 0.9932 0.4176
O32 O 0.1838 0.6821 0.1428
O33 O 0.1858 0.3377 0.3636
O34 O 0.1868 0.6602 0.0355
O35 O 0.1886 0.9861 0.7002
O36 O 0.1952 0.3664 0.4692
O37 O 0.2967 0.1618 0.5336
O38 O 0.3013 0.4853 0.2016
O39 O 0.3008 0.8716 0.9757
O40 O 0.3023 0.1823 0.6406
O41 O 0.3023 0.4916 0.9177
O42 O 0.3058 0.5302 0.3125
O43 O 0.3073 0.8335 0.8591
O44 O 0.3086 0.1841 0.9283
O45 O 0.3130 0.5392 0.5854
O46 O 0.3185 0.1682 0.2454
O47 O 0.3252 0.8458 0.2599
O48 O 0.3355 0.8248 0.5710
O49 O 0.3640 0.6019 0.8043
O50 O 0.3654 0.2609 0.1445
O51 O 0.3685 0.4224 0.6955
O52 O 0.3683 0.7566 0.0846
O53 O 0.3720 0.7456 0.3682
O54 O 0.3752 0.9272 0.4767
O55 O 0.3769 0.2690 0.4216
O56 O 0.3842 0.5990 0.0950
O57 O 0.3901 0.4276 0.4078
O58 O 0.4001 0.0965 0.0242
O59 O 0.4042 0.0920 0.7383
O60 O 0.4065 0.7483 0.7584
O61 O 0.4087 0.6208 0.6997
O62 O 0.4116 0.4134 0.0885
O63 O 0.4120 0.9233 0.7675
O64 O 0.4154 0.9440 0.3704
O65 O 0.4190 0.0711 0.4293
O66 O 0.4192 0.7287 0.4737
O67 O 0.4197 0.4057 0.8091
O68 O 0.4217 0.6014 0.4141
O69 O 0.4226 0.2767 0.0261
O70 O 0.4262 0.2639 0.7466
O71 O 0.4295 0.9408 0.0829
O72 O 0.4317 0.0767 0.1449
O73 O 0.5433 0.6054 0.9083
O74 O 0.5535 0.7442 0.9742
O75 O 0.5602 0.2749 0.5322
O76 O 0.5606 0.9373 0.5800
O77 O 0.5634 0.4011 0.3087
O78 O 0.5638 0.0635 0.6387
O79 O 0.5637 0.4143 0.5947
O80 O 0.5690 0.6079 0.2027
O81 O 0.5708 0.2728 0.2481
O82 O 0.5720 0.7368 0.2597
O83 O 0.5746 0.9522 0.8640
O84 O 0.5756 0.0789 0.9245
O85 O 0.5933 0.9401 0.2571
O86 O 0.5959 0.1009 0.2424
O87 O 0.5968 0.2449 0.6481
O88 O 0.5986 0.7665 0.8560
O89 O 0.6000 0.4217 0.9228
O90 O 0.6014 0.2435 0.9353
O91 O 0.6045 0.0807 0.5325
O92 O 0.6121 0.7607 0.5797
O93 O 0.6133 0.5937 0.3092
O94 O 0.6125 0.6034 0.5928
O95 O 0.6184 0.4176 0.2037
O96 O 0.6353 0.9363 0.9691
O97 O 0.6592 0.4970 0.4067
O98 O 0.6609 0.8540 0.4825
O99 O 0.6624 0.8209 0.0887
O100 O 0.6764 0.1549 0.7485
O101 O 0.6772 0.1977 0.1406
O102 O 0.6785 0.1936 0.4216
O103 O 0.6802 0.1649 0.0342
O104 O 0.6796 0.8517 0.7630
O105 O 0.6811 0.8212 0.3687
O106 O 0.6842 0.5165 0.0938
O107 O 0.6938 0.5058 0.6979
O108 O 0.7009 0.5294 0.8030
O109 O 0.7838 0.0297 0.3036
O110 O 0.7918 0.0058 0.1985
O111 O 0.8020 0.0173 0.5917
O112 O 0.8035 0.3215 0.8685
O113 O 0.8044 0.6649 0.5334
O114 O 0.8040 0.6886 0.9202
O115 O 0.8054 0.6966 0.6396
O116 O 0.8091 0.3547 0.2633
O117 O 0.8088 0.6548 0.2487
O118 O 0.8167 0.3204 0.5888
O119 O 0.8197 0.0032 0.9057
O120 O 0.8232 0.3541 0.9826
O121 O 0.8526 0.4344 0.4685
O122 O 0.8696 0.9157 0.7018
O123 O 0.8714 0.1038 0.0946
O124 O 0.8712 0.2608 0.0802
O125 O 0.8750 0.0936 0.8081
O126 O 0.8799 0.5800 0.0333
O127 O 0.8844 0.7431 0.4356
O128 O 0.8845 0.7462 0.1492
O129 O 0.8847 0.9212 0.4228
O130 O 0.8885 0.6004 0.7420
O131 O 0.8921 0.4396 0.7562
O132 O 0.8928 0.2669 0.3576
O133 O 0.9027 0.5773 0.4228
O134 O 0.9079 0.4496 0.3630
O135 O 0.9110 0.2374 0.7587
O136 O 0.9143 0.1089 0.7012
O137 O 0.9190 0.7705 0.7455
O138 O 0.9187 0.9134 0.0959
O139 O 0.9227 0.5632 0.1396
O140 O 0.9239 0.7755 0.0329
O141 O 0.9240 0.8988 0.8066
O142 O 0.9246 0.4364 0.0809
O143 O 0.9334 0.2467 0.4737
O144 O 0.9367 0.1048 0.4094
```

Summary:
* E: -488.48 eV per formula unit
* theoretical density: 3.0 Mg/m³
* energy relative to the elements: -2465 meV/atom
* volume: 3006.1 Å³ per cell